{"formula": "Sc25InIr7", "functional": "PBE-GGA", "state": "optimized geometry", "lattice": [[0.0000, 8.8528, 8.8528], [8.8528, 0.0000, 8.8528], [8.8528, 8.8528, 0.0000]], "species": ["Sc", "Sc", "Sc", "Sc", "Sc", "Sc", "Sc", "Sc", "Sc", "Sc", "Sc", "Sc", "Sc", "Sc", "Sc", "Sc", "Sc", "Sc", "Sc", "Sc", "Sc", "Sc", "Sc", "Sc", "Sc", "Sc", "Sc", "Sc", "Sc", "Sc", "Sc", "Sc", "Sc", "Sc", "Sc", "Sc", "Sc", "Sc", "Sc", "Sc", "Sc", "Sc", "Sc", "Sc", "Sc", "Sc", "Sc", "Sc", "Sc", "Sc", "Ir", "Ir", "Ir", "Ir", "Ir", "Ir", "Ir", "Ir", "Ir", "Ir", "Ir", "Ir", "Ir", "Ir", "In", "In"], "fractional_positions": [[0.2676, 0.4484, 0.5516], [0.4926, 0.9907, 0.3227], [0.8059, 0.5074, 0.6773], [0.7875, 0.2125, 0.7875], [0.9907, 0.3227, 0.4926], [0.4484, 0.5516, 0.2676], [0.9095, 0.9095, 0.9095], [0.2125, 0.2125, 0.7875], [0.3227, 0.9907, 0.1941], [0.6773, 0.0093, 0.8059], [0.7286, 0.0905, 0.0905], [0.9907, 0.4926, 0.1941], [0.4484, 0.7324, 0.5516], [0.2676, 0.5516, 0.7324], [0.1941, 0.9907, 0.4926], [0.5516, 0.4484, 0.7324], [0.5516, 0.2676, 0.4484], [0.3227, 0.4926, 0.9907], [0.5074, 0.6773, 0.8059], [0.0905, 0.0905, 0.0905], [0.2714, 0.9095, 0.9095], [0.9095, 0.9095, 0.2714], [0.6773, 0.5074, 0.0093], [0.4926, 0.3227, 0.1941], [0.7875, 0.7875, 0.2125], [0.0093, 0.6773, 0.5074], [0.3227, 0.1941, 0.4926], [0.0905, 0.0905, 0.7286], [0.9907, 0.1941, 0.3227], [0.4484, 0.2676, 0.7324], [0.2125, 0.7875, 0.2125], [0.7324, 0.5516, 0.4484], [0.7324, 0.2676, 0.5516], [0.2125, 0.7875, 0.7875], [0.9095, 0.2714, 0.9095], [0.0905, 0.7286, 0.0905], [0.5074, 0.8059, 0.0093], [0.1941, 0.3227, 0.9907], [0.8059, 0.6773, 0.0093], [0.0093, 0.8059, 0.6773], [0.5074, 0.0093, 0.6773], [0.5516, 0.7324, 0.2676], [0.2676, 0.7324, 0.4484], [0.7875, 0.2125, 0.2125], [0.0093, 0.5074, 0.8059], [0.8059, 0.0093, 0.5074], [0.7324, 0.4484, 0.2676], [0.6773, 0.8059, 0.5074], [0.1941, 0.4926, 0.3227], [0.4926, 0.1941, 0.9907], [0.0625, 0.9375, 0.3680], [0.0625, 0.6320, 0.9375], [0.9375, 0.3680, 0.0625], [0.3680, 0.9375, 0.6320], [0.3680, 0.6320, 0.0625], [0.5000, 0.5000, 0.5000], [0.3680, 0.0625, 0.9375], [0.9375, 0.6320, 0.3680], [0.0000, 0.0000, 0.0000], [0.0625, 0.3680, 0.6320], [0.9375, 0.0625, 0.6320], [0.6320, 0.0625, 0.3680], [0.6320, 0.3680, 0.9375], [0.6320, 0.9375, 0.0625], [0.7500, 0.7500, 0.7500], [0.2500, 0.2500, 0.2500]], "e_tot_ev_per_atom": -7.35, "vol_a3_per_cell": 1387.6, "ef_kj_per_mol_atoms": -57.82, "spacegroup": "Fm-3, No. 202"}